Li4MnCo2O7 | PBE with a Hubbard U | relaxed

```
28
Lattice="2.985 0.000 0.000 1.290 4.941 0.000 0.382 1.352 17.200" Properties=species:S:1:pos:R:3 pbc="T T T"
Li 0.000 0.000 0.000
Li 1.523 5.529 8.543
Li 1.670 4.552 13.467
Li 1.465 2.066 1.178
Li 1.637 1.103 6.111
Li 3.091 5.026 11.036
Li 3.319 3.954 16.073
Li 3.035 1.622 3.641
Mn 1.678 2.815 9.785
Mn 1.811 1.798 14.816
Co 1.499 3.847 4.859
Co 2.873 4.348 2.345
Co 3.075 3.329 7.279
Co 3.265 2.247 12.257
O 1.607 5.566 15.265
O 1.544 4.593 6.634
O 1.552 3.112 3.122
O 1.743 3.547 11.624
O 1.620 2.050 7.993
O 1.818 2.640 16.442
O 2.834 5.044 4.176
O 1.812 1.024 12.947
O 2.986 4.102 9.102
O 2.887 3.529 0.813
O 3.289 2.967 14.120
O 3.175 2.552 5.527
O 2.921 0.641 1.905
O 3.361 1.498 10.487
```

Values from the calculation:
Electronic total energy   -5.817 eV/atom
Mass density   4.09 g/cm³
Total moment   4.00 μB/f.u.
Space group   No. 1